# LaBWO6 (PBE with a Hubbard U, optimized geometry)
# Calculated total energy, eV/atom: -7.987
# Magnetic moment, μB per atom: 0.00
# DFT formation energy, eV/f.u.: -26.2
# Space-group type: P2_1, No. 4
data_LaBWO6
_symmetry_space_group_name_H-M 'P 1'
_symmetry_Int_Tables_number 1
_cell_length_a 4.099
_cell_length_b 6.114
_cell_length_c 9.575
_cell_angle_alpha 99.78
_cell_angle_beta 90.00
_cell_angle_gamma 90.00
loop_
_symmetry_equiv_pos_as_xyz
'x,y,z'
loop_
_atom_site_label
_atom_site_fract_x
_atom_site_fract_y
_atom_site_fract_z
_atom_site_occupancy
O1 0.939 0.281 0.660 1
O2 0.926 0.771 0.544 1
O3 0.423 0.577 0.732 1
O4 0.927 0.176 0.003 1
O5 0.431 0.055 0.747 1
O6 0.427 0.824 0.997 1
O7 0.439 0.719 0.340 1
O8 0.923 0.423 0.268 1
O9 0.857 0.567 0.970 1
O10 0.931 0.945 0.253 1
O11 0.426 0.229 0.456 1
O12 0.357 0.433 0.030 1
W1 0.490 0.287 0.645 1
W2 0.990 0.713 0.355 1
La1 0.943 0.859 0.804 1
La2 0.443 0.141 0.196 1
B1 0.028 0.383 0.001 1
B2 0.528 0.617 0.999 1


# LiCoPO4 (PBE with a Hubbard U, optimized geometry)
# Calculated total energy, eV/atom: -6.597
# Relative energy among the computed polymorphs, kJ per mole of atoms: 7.1
# Magnetic moment, μB per atom: 0.43
# DFT formation energy, eV/f.u.: -16.3
# Space-group type: P6_3, No. 173
data_LiCoPO4
_symmetry_space_group_name_H-M 'P 1'
_symmetry_Int_Tables_number 1
_cell_length_a 14.966
_cell_length_b 14.966
_cell_length_c 7.898
_cell_angle_alpha 90.00
_cell_angle_beta 90.00
_cell_angle_gamma 120.00
loop_
_symmetry_equiv_pos_as_xyz
'x,y,z'
loop_
_atom_site_label
_atom_site_fract_x
_atom_site_fract_y
_atom_site_fract_z
_atom_site_occupancy
O1 0.118 0.799 0.322 1
O2 0.895 0.876 0.807 1
O3 0.876 0.981 0.307 1
O4 0.560 0.708 0.030 1
O5 0.105 0.472 0.401 1
O6 0.306 0.444 0.897 1
O7 0.351 0.560 0.264 1
O8 0.442 0.456 0.250 1
O9 0.019 0.895 0.307 1
O10 0.777 0.804 0.168 1
O11 0.779 0.126 0.256 1
O12 0.790 0.351 0.764 1
O13 0.770 0.957 0.042 1
O14 0.895 0.528 0.901 1
O15 0.126 0.347 0.756 1
O16 0.804 0.027 0.668 1
O17 0.981 0.105 0.807 1
O18 0.556 0.861 0.897 1
O19 0.558 0.544 0.750 1
O20 0.649 0.440 0.764 1
O21 0.684 0.227 0.261 1
O22 0.694 0.556 0.397 1
O23 0.223 0.196 0.668 1
O24 0.560 0.210 0.764 1
O25 0.475 0.105 0.026 1
O26 0.370 0.475 0.526 1
O27 0.543 0.316 0.261 1
O28 0.799 0.681 0.822 1
O29 0.528 0.632 0.401 1
O30 0.973 0.777 0.668 1
O31 0.210 0.649 0.264 1
O32 0.472 0.368 0.901 1
O33 0.043 0.813 0.042 1
O34 0.227 0.543 0.761 1
O35 0.852 0.560 0.530 1
O36 0.105 0.630 0.526 1
O37 0.201 0.319 0.322 1
O38 0.525 0.895 0.526 1
O39 0.148 0.440 0.030 1
O40 0.813 0.770 0.542 1
O41 0.632 0.105 0.901 1
O42 0.861 0.306 0.397 1
O43 0.124 0.019 0.807 1
O44 0.457 0.684 0.761 1
O45 0.347 0.221 0.256 1
O46 0.105 0.124 0.307 1
O47 0.681 0.882 0.322 1
O48 0.708 0.148 0.530 1
O49 0.292 0.852 0.030 1
O50 0.139 0.694 0.897 1
O51 0.544 0.986 0.250 1
O52 0.773 0.457 0.261 1
O53 0.444 0.139 0.397 1
O54 0.653 0.779 0.756 1
O55 0.316 0.773 0.761 1
O56 0.630 0.525 0.026 1
O57 0.027 0.223 0.168 1
O58 0.196 0.973 0.168 1
O59 0.440 0.292 0.530 1
O60 0.230 0.043 0.542 1
O61 0.221 0.874 0.756 1
O62 0.187 0.230 0.042 1
O63 0.895 0.370 0.026 1
O64 0.319 0.118 0.822 1
O65 0.440 0.790 0.264 1
O66 0.957 0.187 0.542 1
O67 0.014 0.558 0.250 1
O68 0.882 0.201 0.822 1
O69 0.874 0.653 0.256 1
O70 0.986 0.442 0.750 1
O71 0.368 0.895 0.401 1
O72 0.456 0.014 0.750 1
P1 0.424 0.532 0.360 1
P2 0.760 0.203 0.362 1
P3 0.556 0.760 0.862 1
P4 0.576 0.468 0.860 1
P5 0.893 0.424 0.860 1
P6 0.871 0.775 0.709 1
P7 0.095 0.871 0.209 1
P8 0.468 0.893 0.360 1
P9 0.444 0.240 0.362 1
P10 0.775 0.905 0.209 1
P11 0.203 0.444 0.862 1
P12 0.225 0.095 0.709 1
P13 0.905 0.129 0.709 1
P14 0.129 0.225 0.209 1
P15 0.532 0.107 0.860 1
P16 0.240 0.797 0.862 1
P17 0.107 0.576 0.360 1
P18 0.797 0.556 0.362 1
Li1 0.680 0.990 0.497 1
Li2 0.690 0.680 0.997 1
Li3 0.989 0.650 0.072 1
Li4 0.011 0.350 0.572 1
Li5 0.333 0.667 0.162 1
Li6 0.350 0.339 0.072 1
Li7 0.010 0.690 0.497 1
Li8 0.339 0.989 0.572 1
Li9 0.333 0.667 0.663 1
Li10 0.320 0.010 0.997 1
Li11 0.310 0.320 0.497 1
Li12 0.000 0.000 0.909 1
Li13 0.661 0.011 0.072 1
Li14 0.667 0.333 0.662 1
Li15 0.667 0.333 0.163 1
Li16 0.990 0.310 0.997 1
Li17 0.000 0.000 0.409 1
Li18 0.650 0.661 0.572 1
Co1 0.779 0.909 0.812 1
Co2 0.577 0.464 0.250 1
Co3 0.448 0.247 0.762 1
Co4 0.247 0.799 0.262 1
Co5 0.464 0.886 0.750 1
Co6 0.552 0.753 0.262 1
Co7 0.871 0.779 0.312 1
Co8 0.114 0.577 0.750 1
Co9 0.129 0.221 0.812 1
Co10 0.909 0.129 0.312 1
Co11 0.221 0.091 0.312 1
Co12 0.201 0.448 0.262 1
Co13 0.753 0.201 0.762 1
Co14 0.091 0.871 0.812 1
Co15 0.423 0.536 0.750 1
Co16 0.799 0.552 0.762 1
Co17 0.886 0.423 0.250 1
Co18 0.536 0.114 0.250 1


# Li9Co7O16 (PBE with a Hubbard U, optimized geometry)
# Calculated total energy, eV/atom: -5.581
# Relative energy among the computed polymorphs, kJ per mole of atoms: 3.7
# Magnetic moment, μB per atom: 0.06
# DFT formation energy, eV/f.u.: -55.0
# Space-group type: P-1, No. 2
data_Li9Co7O16
_symmetry_space_group_name_H-M 'P 1'
_symmetry_Int_Tables_number 1
_cell_length_a 5.063
_cell_length_b 5.828
_cell_length_c 10.360
_cell_angle_alpha 73.79
_cell_angle_beta 76.11
_cell_angle_gamma 73.27
loop_
_symmetry_equiv_pos_as_xyz
'x,y,z'
loop_
_atom_site_label
_atom_site_fract_x
_atom_site_fract_y
_atom_site_fract_z
_atom_site_occupancy
Li1 0.497 0.562 0.627 1
Li2 0.502 0.820 0.118 1
Li3 0.498 0.180 0.882 1
Li4 0.503 0.308 0.123 1
Li5 0.000 0.000 0.000 1
Li6 0.503 0.438 0.373 1
Li7 0.497 0.692 0.877 1
Li8 0.498 0.063 0.623 1
Li9 0.502 0.937 0.377 1
O1 0.229 0.173 0.068 1
O2 0.767 0.943 0.197 1
O3 0.768 0.096 0.436 1
O4 0.779 0.695 0.686 1
O5 0.776 0.594 0.426 1
O6 0.779 0.225 0.690 1
O7 0.221 0.775 0.310 1
O8 0.214 0.642 0.075 1
O9 0.771 0.827 0.932 1
O10 0.222 0.525 0.819 1
O11 0.224 0.406 0.574 1
O12 0.786 0.358 0.925 1
O13 0.778 0.475 0.181 1
O14 0.232 0.904 0.564 1
O15 0.221 0.305 0.314 1
O16 0.233 0.057 0.803 1
Co1 0.003 0.371 0.755 1
Co2 0.000 0.500 0.000 1
Co3 0.999 0.751 0.499 1
Co4 0.997 0.629 0.245 1
Co5 0.004 0.124 0.240 1
Co6 0.996 0.876 0.760 1
Co7 0.001 0.249 0.501 1


# ZnNiSnP2O9 (PBE with a Hubbard U, optimized geometry)
# Calculated total energy, eV/atom: -6.348
# Magnetic moment, μB per atom: 0.14
# DFT formation energy, eV/f.u.: -31.2
# Space-group type: Pnma, No. 62
data_ZnNiSnP2O9
_symmetry_space_group_name_H-M 'P 1'
_symmetry_Int_Tables_number 1
_cell_length_a 6.377
_cell_length_b 7.692
_cell_length_c 14.640
_cell_angle_alpha 90.00
_cell_angle_beta 90.00
_cell_angle_gamma 90.00
loop_
_symmetry_equiv_pos_as_xyz
'x,y,z'
loop_
_atom_site_label
_atom_site_fract_x
_atom_site_fract_y
_atom_site_fract_z
_atom_site_occupancy
O1 0.750 0.174 0.523 1
O2 0.436 0.875 0.864 1
O3 0.564 0.125 0.136 1
O4 0.750 0.502 0.500 1
O5 0.454 0.110 0.366 1
O6 0.750 0.794 0.251 1
O7 0.046 0.110 0.366 1
O8 0.250 0.977 0.232 1
O9 0.750 0.326 0.023 1
O10 0.064 0.875 0.864 1
O11 0.546 0.610 0.134 1
O12 0.064 0.625 0.364 1
O13 0.546 0.890 0.634 1
O14 0.250 0.120 0.563 1
O15 0.250 0.380 0.063 1
O16 0.250 0.674 0.977 1
O17 0.250 0.523 0.732 1
O18 0.936 0.375 0.636 1
O19 0.454 0.390 0.866 1
O20 0.564 0.375 0.636 1
O21 0.250 0.206 0.749 1
O22 0.750 0.477 0.268 1
O23 0.750 0.998 0.000 1
O24 0.750 0.023 0.768 1
O25 0.250 0.498 0.500 1
O26 0.750 0.880 0.437 1
O27 0.954 0.890 0.634 1
O28 0.436 0.625 0.364 1
O29 0.750 0.620 0.937 1
O30 0.936 0.125 0.136 1
O31 0.250 0.826 0.477 1
O32 0.954 0.610 0.134 1
O33 0.046 0.390 0.866 1
O34 0.250 0.294 0.249 1
O35 0.750 0.706 0.751 1
O36 0.250 0.002 0.000 1
P1 0.750 0.877 0.693 1
P2 0.750 0.623 0.193 1
P3 0.250 0.853 0.930 1
P4 0.250 0.123 0.307 1
P5 0.750 0.147 0.070 1
P6 0.250 0.647 0.430 1
P7 0.750 0.353 0.570 1
P8 0.250 0.377 0.807 1
Sn1 0.250 0.361 0.617 1
Sn2 0.750 0.639 0.383 1
Sn3 0.750 0.861 0.883 1
Sn4 0.250 0.139 0.117 1
Zn1 0.750 0.028 0.320 1
Zn2 0.750 0.472 0.820 1
Zn3 0.250 0.528 0.180 1
Zn4 0.250 0.972 0.680 1
Ni1 0.500 0.000 0.500 1
Ni2 0.000 0.000 0.500 1
Ni3 0.000 0.500 0.000 1
Ni4 0.500 0.500 0.000 1


# MgFe6O9F3 (PBE with a Hubbard U, optimized geometry)
# Calculated total energy, eV/atom: -6.184
# Relative energy among the computed polymorphs, kJ per mole of atoms: 0.0
# Magnetic moment, μB per atom: 1.53
# DFT formation energy, eV/f.u.: -35.9
# Space-group type: P1, No. 1
data_MgFe6O9F3
_symmetry_space_group_name_H-M 'P 1'
_symmetry_Int_Tables_number 1
_cell_length_a 7.109
_cell_length_b 5.729
_cell_length_c 5.982
_cell_angle_alpha 83.05
_cell_angle_beta 72.07
_cell_angle_gamma 73.86
loop_
_symmetry_equiv_pos_as_xyz
'x,y,z'
loop_
_atom_site_label
_atom_site_fract_x
_atom_site_fract_y
_atom_site_fract_z
_atom_site_occupancy
F1 0.366 0.314 0.990 1
F2 0.972 0.330 0.667 1
F3 0.666 0.036 0.662 1
Fe1 0.329 0.729 0.615 1
Fe2 0.679 0.381 0.277 1
Fe3 0.492 0.926 0.057 1
Fe4 0.006 0.927 0.068 1
Fe5 0.848 0.702 0.641 1
Fe6 0.172 0.333 0.328 1
O1 0.042 0.775 0.767 1
O2 0.372 0.458 0.423 1
O3 0.709 0.090 0.089 1
O4 0.968 0.223 0.231 1
O5 0.325 0.988 0.369 1
O6 0.304 0.875 0.903 1
O7 0.005 0.675 0.315 1
O8 0.627 0.579 0.560 1
O9 0.678 0.608 0.995 1
Mg1 0.663 0.324 0.818 1


# Rb2W3O12 (PBE with a Hubbard U, optimized geometry)
# Calculated total energy, eV/atom: -6.294
# Magnetic moment, μB per atom: 0.23
# DFT formation energy, eV/f.u.: -28.3
# Space-group type: R-3m, No. 166
data_Rb2W3O12
_symmetry_space_group_name_H-M 'P 1'
_symmetry_Int_Tables_number 1
_cell_length_a 7.182
_cell_length_b 7.182
_cell_length_c 7.182
_cell_angle_alpha 62.05
_cell_angle_beta 62.05
_cell_angle_gamma 62.05
loop_
_symmetry_equiv_pos_as_xyz
'x,y,z'
loop_
_atom_site_label
_atom_site_fract_x
_atom_site_fract_y
_atom_site_fract_z
_atom_site_occupancy
W1 0.000 0.500 0.000 1
W2 0.000 0.000 0.500 1
W3 0.500 0.000 0.000 1
Rb1 0.626 0.626 0.626 1
Rb2 0.374 0.374 0.374 1
O1 0.683 0.066 0.066 1
O2 0.316 0.939 0.316 1
O3 0.684 0.061 0.684 1
O4 0.934 0.317 0.934 1
O5 0.684 0.684 0.061 1
O6 0.317 0.934 0.934 1
O7 0.934 0.934 0.317 1
O8 0.061 0.684 0.684 1
O9 0.939 0.316 0.316 1
O10 0.066 0.066 0.683 1
O11 0.066 0.683 0.066 1
O12 0.316 0.316 0.939 1


# CaMn8O13F3 (PBE with a Hubbard U, optimized geometry)
# Calculated total energy, eV/atom: -6.878
# Relative energy among the computed polymorphs, kJ per mole of atoms: 4.5
# Magnetic moment, μB per atom: 1.16
# DFT formation energy, eV/f.u.: -50.3
# Space-group type: P1, No. 1
data_CaMn8O13F3
_symmetry_space_group_name_H-M 'P 1'
_symmetry_Int_Tables_number 1
_cell_length_a 7.323
_cell_length_b 5.717
_cell_length_c 6.916
_cell_angle_alpha 93.05
_cell_angle_beta 92.31
_cell_angle_gamma 82.90
loop_
_symmetry_equiv_pos_as_xyz
'x,y,z'
loop_
_atom_site_label
_atom_site_fract_x
_atom_site_fract_y
_atom_site_fract_z
_atom_site_occupancy
O1 0.314 0.884 0.409 1
O2 0.709 0.639 0.649 1
O3 0.598 0.085 0.136 1
O4 0.408 0.848 0.825 1
O5 0.105 0.660 0.656 1
O6 0.182 0.620 0.091 1
O7 0.809 0.357 0.924 1
O8 0.906 0.920 0.343 1
O9 0.170 0.124 0.083 1
O10 0.093 0.137 0.701 1
O11 0.575 0.108 0.510 1
O12 0.552 0.571 0.154 1
O13 0.418 0.328 0.838 1
Mn1 0.365 0.335 0.107 1
Mn2 0.330 0.142 0.602 1
Mn3 0.588 0.583 0.881 1
Mn4 0.875 0.174 0.168 1
Mn5 0.934 0.438 0.697 1
Mn6 0.165 0.870 0.891 1
Mn7 0.580 0.848 0.333 1
Mn8 0.118 0.703 0.373 1
Ca1 0.680 0.032 0.796 1
F1 0.302 0.400 0.385 1
F2 0.912 0.865 0.959 1
F3 0.943 0.435 0.367 1


# LiV6O7F5 (PBE with a Hubbard U, optimized geometry)
# Calculated total energy, eV/atom: -7.101
# Relative energy among the computed polymorphs, kJ per mole of atoms: 3.4
# Magnetic moment, μB per atom: 0.63
# DFT formation energy, eV/f.u.: -51.6
# Space-group type: P1, No. 1
data_LiV6O7F5
_symmetry_space_group_name_H-M 'P 1'
_symmetry_Int_Tables_number 1
_cell_length_a 5.676
_cell_length_b 5.693
_cell_length_c 7.562
_cell_angle_alpha 71.38
_cell_angle_beta 71.14
_cell_angle_gamma 72.15
loop_
_symmetry_equiv_pos_as_xyz
'x,y,z'
loop_
_atom_site_label
_atom_site_fract_x
_atom_site_fract_y
_atom_site_fract_z
_atom_site_occupancy
V1 0.679 0.663 0.849 1
V2 0.990 0.024 0.484 1
V3 0.668 0.655 0.320 1
V4 0.375 0.339 0.690 1
V5 0.971 0.024 0.998 1
V6 0.320 0.306 0.159 1
F1 0.111 0.109 0.693 1
F2 0.291 0.702 0.002 1
F3 0.889 0.904 0.296 1
F4 0.050 0.636 0.664 1
F5 0.430 0.415 0.374 1
O1 0.358 0.949 0.343 1
O2 0.772 0.772 0.034 1
O3 0.643 0.025 0.668 1
O4 0.222 0.223 0.968 1
O5 0.577 0.579 0.630 1
O6 0.966 0.364 0.329 1
O7 0.680 0.312 0.002 1
Li1 0.432 0.927 0.572 1


# NaCo3O6 (PBE with a Hubbard U, optimized geometry)
# Calculated total energy, eV/atom: -5.703
# Relative energy among the computed polymorphs, kJ per mole of atoms: 0.0
# DFT formation energy, eV/f.u.: -13.7
data_NaCo3O6
_symmetry_space_group_name_H-M 'P 1'
_symmetry_Int_Tables_number 1
_cell_length_a 4.892
_cell_length_b 5.879
_cell_length_c 8.483
_cell_angle_alpha 90.00
_cell_angle_beta 90.00
_cell_angle_gamma 73.52
loop_
_symmetry_equiv_pos_as_xyz
'x,y,z'
loop_
_atom_site_label
_atom_site_fract_x
_atom_site_fract_y
_atom_site_fract_z
_atom_site_occupancy
Co1 0.500 0.000 0.499 1
Co2 0.000 0.000 0.334 1
Co3 0.000 0.000 0.667 1
Co4 0.000 0.000 0.999 1
Co5 0.500 0.000 0.167 1
Co6 0.500 0.000 0.834 1
Na1 0.000 0.500 0.167 1
Na2 0.500 0.500 0.667 1
O1 0.720 0.828 0.667 1
O2 0.780 0.172 0.167 1
O3 0.272 0.172 0.999 1
O4 0.772 0.172 0.834 1
O5 0.772 0.172 0.499 1
O6 0.272 0.172 0.334 1
O7 0.228 0.828 0.499 1
O8 0.280 0.172 0.667 1
O9 0.220 0.828 0.167 1
O10 0.728 0.828 0.334 1
O11 0.728 0.828 0.999 1
O12 0.228 0.828 0.834 1


# Fe3O4F2 (PBE with a Hubbard U, optimized geometry)
# Calculated total energy, eV/atom: -6.059
# Relative energy among the computed polymorphs, kJ per mole of atoms: 2.9
# Magnetic moment, μB per atom: 1.56
# DFT formation energy, eV/f.u.: -15.9
# Space-group type: Pmn2_1, No. 31
data_Fe3O4F2
_symmetry_space_group_name_H-M 'P 1'
_symmetry_Int_Tables_number 1
_cell_length_a 4.661
_cell_length_b 4.661
_cell_length_c 9.223
_cell_angle_alpha 90.00
_cell_angle_beta 90.00
_cell_angle_gamma 90.00
loop_
_symmetry_equiv_pos_as_xyz
'x,y,z'
loop_
_atom_site_label
_atom_site_fract_x
_atom_site_fract_y
_atom_site_fract_z
_atom_site_occupancy
O1 0.936 0.811 0.671 1
O2 0.440 0.695 0.500 1
O3 0.560 0.195 0.000 1
O4 0.960 0.798 0.000 1
O5 0.040 0.298 0.500 1
O6 0.064 0.311 0.171 1
O7 0.936 0.811 0.329 1
O8 0.064 0.311 0.829 1
Fe1 0.238 0.473 0.000 1
Fe2 0.777 0.007 0.158 1
Fe3 0.223 0.507 0.658 1
Fe4 0.762 0.973 0.500 1
Fe5 0.777 0.007 0.842 1
Fe6 0.223 0.507 0.342 1
F1 0.451 0.699 0.832 1
F2 0.549 0.199 0.668 1
F3 0.451 0.699 0.168 1
F4 0.549 0.199 0.332 1